{"formula": "LiVC2O6", "functional": "PBE with a Hubbard U", "state": "relaxed", "dft_energy_ev_per_cell": -222.144, "crystal_system": "monoclinic", "e_above_lowest_polymorph_mev_per_atom": 68.3, "sg": "C2 (5)", "lattice_angstrom": [[6.9796, -4.0090, 0.0000], [6.9796, 4.0090, 0.0000], [-0.0054, 0.0000, 5.3685]], "species": ["Li", "Li", "Li", "V", "V", "V", "C", "C", "C", "C", "C", "C", "O", "O", "O", "O", "O", "O", "O", "O", "O", "O", "O", "O", "O", "O", "O", "O", "O", "O"], "fractional_positions": [[0.0000, 0.0000, 0.0000], [0.3339, 0.3291, 0.9989], [0.6709, 0.6661, 0.0011], [0.0065, 0.6610, 0.4992], [0.3390, 0.9935, 0.5008], [0.6650, 0.3350, 0.5000], [0.0006, 0.3310, 0.2769], [0.0017, 0.3315, 0.7486], [0.3334, 0.6667, 0.2619], [0.3333, 0.6666, 0.7381], [0.6685, 0.9983, 0.2514], [0.6690, 0.9994, 0.7231], [0.0765, 0.4420, 0.7504], [0.1115, 0.1466, 0.7501], [0.1478, 0.7551, 0.7382], [0.1875, 0.2382, 0.2810], [0.2350, 0.5785, 0.2605], [0.2449, 0.8522, 0.2618], [0.4215, 0.7650, 0.7395], [0.4327, 0.4799, 0.7374], [0.4825, 0.0934, 0.7240], [0.5201, 0.5673, 0.2626], [0.5580, 0.9235, 0.2496], [0.5919, 0.1839, 0.2506], [0.7618, 0.8125, 0.7190], [0.7627, 0.0914, 0.7220], [0.8161, 0.4081, 0.7494], [0.8534, 0.8885, 0.2499], [0.9066, 0.5175, 0.2760], [0.9086, 0.2373, 0.2780]]}

---

{"formula": "LiVCO5", "functional": "PBE with a Hubbard U", "state": "relaxed", "dft_energy_ev_per_cell": -454.082, "crystal_system": "triclinic", "sg": "P1 (1)", "lattice_angstrom": [[6.0421, 0.0000, 0.0000], [0.2121, 9.9008, 0.0000], [0.2241, 0.4533, 11.7104]], "species": ["Li", "Li", "Li", "Li", "Li", "Li", "Li", "Li", "V", "V", "V", "V", "V", "V", "V", "V", "C", "C", "C", "C", "C", "C", "C", "C", "O", "O", "O", "O", "O", "O", "O", "O", "O", "O", "O", "O", "O", "O", "O", "O", "O", "O", "O", "O", "O", "O", "O", "O", "O", "O", "O", "O", "O", "O", "O", "O", "O", "O", "O", "O", "O", "O", "O", "O"], "fractional_positions": [[0.0000, 0.0000, 0.0000], [0.0002, 0.4924, 0.4953], [0.2500, 0.5050, 0.2709], [0.2666, 0.4857, 0.7195], [0.3037, 0.9930, 0.7704], [0.5112, 0.0016, 0.0025], [0.7239, 0.9980, 0.2346], [0.7627, 0.4819, 0.7259], [0.0583, 0.7836, 0.3850], [0.0671, 0.2463, 0.1062], [0.4481, 0.7112, 0.8932], [0.4684, 0.2561, 0.5960], [0.5561, 0.7212, 0.4008], [0.5772, 0.2802, 0.1092], [0.9522, 0.7458, 0.8952], [0.9617, 0.2032, 0.6127], [0.0047, 0.7574, 0.1416], [0.0119, 0.2529, 0.3601], [0.0124, 0.7291, 0.6405], [0.0200, 0.2387, 0.8572], [0.5081, 0.2585, 0.3504], [0.5085, 0.2462, 0.8584], [0.5098, 0.7293, 0.6484], [0.5106, 0.7516, 0.1429], [0.0006, 0.3106, 0.7596], [0.0030, 0.6837, 0.0496], [0.0053, 0.1863, 0.2650], [0.0059, 0.1731, 0.4530], [0.0064, 0.8054, 0.5482], [0.0120, 0.6000, 0.6416], [0.0201, 0.7956, 0.7349], [0.0206, 0.3116, 0.9485], [0.0233, 0.3788, 0.3615], [0.0347, 0.1123, 0.8589], [0.0379, 0.6868, 0.2370], [0.2287, 0.1154, 0.0726], [0.2299, 0.9033, 0.3540], [0.2549, 0.6474, 0.4173], [0.2609, 0.8482, 0.9158], [0.2649, 0.5947, 0.8654], [0.2662, 0.1343, 0.6417], [0.2719, 0.3605, 0.1363], [0.2930, 0.3816, 0.5663], [0.4814, 0.3824, 0.3428], [0.4907, 0.8046, 0.7388], [0.4993, 0.6779, 0.0510], [0.5002, 0.1196, 0.8629], [0.5025, 0.3191, 0.7612], [0.5099, 0.6786, 0.2379], [0.5120, 0.7971, 0.5505], [0.5143, 0.1875, 0.4494], [0.5203, 0.8781, 0.1370], [0.5207, 0.6022, 0.6581], [0.5237, 0.3198, 0.9487], [0.5365, 0.1821, 0.2607], [0.7298, 0.5988, 0.4345], [0.7503, 0.6288, 0.8634], [0.7561, 0.8484, 0.3590], [0.7568, 0.1419, 0.0798], [0.7667, 0.3909, 0.1348], [0.7696, 0.3405, 0.5826], [0.7786, 0.0901, 0.6485], [0.7864, 0.8764, 0.9240], [0.9792, 0.8833, 0.1383]]}

---

{"formula": "LiV2C4O12", "functional": "PBE with a Hubbard U", "state": "relaxed", "dft_energy_ev_per_cell": -286.543, "e_above_lowest_polymorph_mev_per_atom": 0.0, "lattice_angstrom": [[-2.1735, -3.6389, -4.0585], [7.7022, 1.1863, -5.3899], [3.9587, -4.2467, 4.8192]], "species": ["Li", "Li", "V", "V", "V", "V", "C", "C", "C", "C", "C", "C", "C", "C", "O", "O", "O", "O", "O", "O", "O", "O", "O", "O", "O", "O", "O", "O", "O", "O", "O", "O", "O", "O", "O", "O", "O", "O"], "fractional_positions": [[0.5000, 0.2500, 0.5000], [0.5000, 0.7500, 0.5000], [0.5002, 0.7501, 0.0000], [0.5002, 0.2499, 0.9999], [0.0002, 0.0001, 0.5001], [0.9998, 0.5000, 0.4999], [0.0190, 0.2452, 0.7390], [0.0193, 0.7451, 0.7386], [0.9810, 0.2549, 0.2611], [0.9807, 0.7549, 0.2614], [0.5130, 0.0032, 0.2377], [0.5128, 0.5029, 0.2377], [0.4869, 0.4968, 0.7624], [0.4872, 0.9971, 0.7623], [0.3516, 0.4391, 0.6138], [0.3526, 0.9390, 0.6137], [0.6484, 0.0609, 0.3862], [0.6475, 0.5610, 0.3863], [0.6094, 0.4202, 0.8966], [0.6094, 0.9207, 0.8969], [0.3905, 0.0797, 0.1035], [0.3906, 0.5793, 0.1032], [0.9944, 0.3895, 0.2728], [0.9944, 0.8895, 0.2732], [0.0057, 0.1105, 0.7272], [0.0055, 0.6105, 0.7267], [0.4989, 0.3648, 0.2268], [0.4985, 0.8651, 0.2263], [0.5011, 0.1352, 0.7733], [0.5015, 0.6349, 0.7737], [0.8811, 0.3262, 0.6166], [0.8819, 0.8265, 0.6166], [0.1187, 0.1737, 0.3833], [0.1182, 0.6736, 0.3834], [0.1766, 0.3005, 0.8819], [0.1770, 0.8002, 0.8817], [0.8233, 0.1995, 0.1181], [0.8230, 0.6998, 0.1183]]}

---

{"formula": "LiVC2O6", "functional": "PBE with a Hubbard U", "state": "relaxed", "dft_energy_ev_per_cell": -148.132, "e_above_lowest_polymorph_mev_per_atom": 66.5, "lattice_angstrom": [[-3.0450, 3.0153, 1.8750], [-3.4112, -5.9368, -1.7734], [1.2501, -5.2061, 4.6217]], "species": ["Li", "Li", "V", "V", "C", "C", "C", "C", "O", "O", "O", "O", "O", "O", "O", "O", "O", "O", "O", "O"], "fractional_positions": [[0.7500, 0.0822, 0.4179], [0.2500, 0.5821, 0.9178], [0.5000, 0.1582, 0.8418], [0.0000, 0.6582, 0.3418], [0.1205, 0.1196, 0.1173], [0.6202, 0.6193, 0.6178], [0.3798, 0.3822, 0.3807], [0.8795, 0.8827, 0.8804], [0.5247, 0.5187, 0.2411], [0.0243, 0.0188, 0.7410], [0.4877, 0.4716, 0.7584], [0.9896, 0.9722, 0.2587], [0.0104, 0.7413, 0.0278], [0.5123, 0.2416, 0.5284], [0.0994, 0.3881, 0.3718], [0.5988, 0.8890, 0.8719], [0.4012, 0.1281, 0.1110], [0.9006, 0.6282, 0.6119], [0.9757, 0.2590, 0.9812], [0.4753, 0.7589, 0.4813]]}

---

{"formula": "LiVCO4", "functional": "PBE with a Hubbard U", "state": "relaxed", "dft_energy_ev_per_cell": -204.565, "crystal_system": "monoclinic", "sg": "P2_1/c (14)", "lattice_angstrom": [[3.1840, 0.0000, 0.0000], [0.0000, 9.3755, 0.0000], [-0.2214, 0.0000, 9.4023]], "species": ["Li", "Li", "Li", "Li", "V", "V", "V", "V", "C", "C", "C", "C", "O", "O", "O", "O", "O", "O", "O", "O", "O", "O", "O", "O", "O", "O", "O", "O"], "fractional_positions": [[0.2505, 0.1916, 0.0913], [0.2505, 0.3084, 0.5913], [0.7495, 0.6916, 0.4087], [0.7495, 0.8084, 0.9087], [0.2440, 0.5609, 0.1188], [0.2440, 0.9391, 0.6188], [0.7560, 0.0609, 0.3812], [0.7560, 0.4391, 0.8812], [0.2555, 0.6305, 0.6661], [0.2555, 0.8695, 0.1661], [0.7445, 0.1305, 0.8339], [0.7445, 0.3695, 0.3339], [0.2411, 0.7502, 0.2387], [0.2411, 0.7498, 0.7387], [0.2449, 0.1139, 0.5016], [0.2449, 0.3861, 0.0016], [0.2576, 0.6269, 0.5331], [0.2576, 0.8731, 0.0331], [0.2634, 0.5081, 0.7410], [0.2634, 0.9919, 0.2410], [0.7366, 0.0081, 0.7590], [0.7366, 0.4919, 0.2590], [0.7424, 0.1269, 0.9669], [0.7424, 0.3731, 0.4669], [0.7551, 0.6139, 0.9984], [0.7551, 0.8861, 0.4984], [0.7589, 0.2502, 0.2613], [0.7589, 0.2498, 0.7613]]}

---

{"formula": "LiV2C4O12", "functional": "PBE with a Hubbard U", "state": "relaxed", "dft_energy_ev_per_cell": -142.702, "crystal_system": "triclinic", "e_above_lowest_polymorph_mev_per_atom": 30.0, "sg": "P1 (1)", "lattice_angstrom": [[5.7327, 0.0000, 0.0000], [2.5142, 6.0001, 0.0000], [2.1547, -0.2455, 7.8508]], "species": ["Li", "V", "V", "C", "C", "C", "C", "O", "O", "O", "O", "O", "O", "O", "O", "O", "O", "O", "O"], "fractional_positions": [[0.0000, 0.0000, 0.0000], [0.6026, 0.0282, 0.6863], [0.8309, 0.4921, 0.1843], [0.1576, 0.3949, 0.9082], [0.5708, 0.8583, 0.9745], [0.7411, 0.1430, 0.4004], [0.7618, 0.6338, 0.4634], [0.1460, 0.5287, 0.0250], [0.3444, 0.3307, 0.7754], [0.3803, 0.9088, 0.9044], [0.5313, 0.1050, 0.4420], [0.5740, 0.7461, 0.1130], [0.5844, 0.5891, 0.4217], [0.7413, 0.7121, 0.6067], [0.7547, 0.9310, 0.9014], [0.8327, 0.1968, 0.2412], [0.8689, 0.1207, 0.5140], [0.9585, 0.3321, 0.9479], [0.9778, 0.5896, 0.3371]]}

---

The evaluated formation energy from the elements for the records listed, in turn: -200, -204, -196, -200, -215, -193 kJ/mol of atoms.